1.
Entry from the Materials Project database: an optimized crystal structure of Li2Mn3B3O9 (PBE with a Hubbard U).

abc: 5.293 6.201 11.783
angles: 84.48 79.00 87.46
Space group P-1 (No. 2)
Symmetry-distinct sites (fractional):
Li 0.022 0.294 0.134 (multiplicity 2)
Li 0.346 0.641 0.457 (multiplicity 2)
Mn 0.144 0.132 0.879 (multiplicity 2)
Mn 0.191 0.192 0.448 (multiplicity 2)
Mn 0.484 0.466 0.211 (multiplicity 2)
B 0.090 0.427 0.668 (multiplicity 2)
B 0.245 0.885 0.663 (multiplicity 2)
B 0.419 0.741 0.004 (multiplicity 2)
O 0.065 0.957 0.749 (multiplicity 2)
O 0.154 0.454 0.777 (multiplicity 2)
O 0.164 0.529 0.344 (multiplicity 2)
O 0.175 0.808 0.985 (multiplicity 2)
O 0.201 0.883 0.549 (multiplicity 2)
O 0.278 0.376 0.577 (multiplicity 2)
O 0.388 0.318 0.085 (multiplicity 2)
O 0.482 0.743 0.115 (multiplicity 2)
O 0.484 0.796 0.683 (multiplicity 2)

Results
E (MP2020), eV per cell: -275.21
Volume, Å³ per atom: 11.1
Relative energy among the computed polymorphs, kcal/mol of atoms: 0.18


2.
Entry from the Materials Project database: an optimized crystal structure of LiMn2B2O6 (PBE with a Hubbard U).

abc: 5.819 9.230 9.874
angles: 80.33 80.64 75.42
Space group P-1 (No. 2)
Symmetry-distinct sites (fractional):
Li 0.057 0.309 0.134 (multiplicity 2)
Li 0.215 0.193 0.615 (multiplicity 2)
Mn 0.120 0.643 0.125 (multiplicity 2)
Mn 0.155 0.870 0.604 (multiplicity 2)
Mn 0.376 0.099 0.876 (multiplicity 2)
Mn 0.389 0.409 0.362 (multiplicity 2)
B 0.096 0.973 0.149 (multiplicity 2)
B 0.136 0.528 0.619 (multiplicity 2)
B 0.345 0.443 0.893 (multiplicity 2)
B 0.384 0.055 0.373 (multiplicity 2)
O 0.021 0.105 0.201 (multiplicity 2)
O 0.031 0.143 0.814 (multiplicity 2)
O 0.070 0.447 0.282 (multiplicity 2)
O 0.176 0.073 0.472 (multiplicity 2)
O 0.209 0.400 0.559 (multiplicity 2)
O 0.233 0.321 0.929 (multiplicity 2)
O 0.247 0.579 0.939 (multiplicity 2)
O 0.269 0.640 0.591 (multiplicity 2)
O 0.301 0.946 0.051 (multiplicity 2)
O 0.445 0.575 0.202 (multiplicity 2)
O 0.475 0.922 0.321 (multiplicity 2)
O 0.499 0.827 0.652 (multiplicity 2)

Results
E (MP2020), eV per cell: -359.94
Volume, Å³ per atom: 11.4
Relative energy among the computed polymorphs, kcal/mol of atoms: 0.10


3.
Entry from the Materials Project database: an optimized crystal structure of Li2Mn3B3O9 (PBE with a Hubbard U).

abc: 6.301 8.164 8.720
angles: 117.53 108.89 90.89
Space group P1 (No. 1)
Symmetry-distinct sites (fractional):
Li 0.000 0.000 0.000 (multiplicity 1)
Li 0.139 0.588 0.319 (multiplicity 1)
Li 0.514 0.001 0.997 (multiplicity 1)
Li 0.847 0.328 0.737 (multiplicity 1)
Mn 0.118 0.002 0.672 (multiplicity 1)
Mn 0.254 0.644 0.021 (multiplicity 1)
Mn 0.429 0.312 0.372 (multiplicity 1)
Mn 0.586 0.927 0.615 (multiplicity 1)
Mn 0.750 0.675 0.036 (multiplicity 1)
Mn 0.937 0.306 0.394 (multiplicity 1)
B 0.186 0.970 0.349 (multiplicity 1)
B 0.251 0.299 0.018 (multiplicity 1)
B 0.339 0.652 0.682 (multiplicity 1)
B 0.675 0.984 0.348 (multiplicity 1)
B 0.763 0.291 0.012 (multiplicity 1)
B 0.848 0.652 0.697 (multiplicity 1)
O 0.092 0.781 0.243 (multiplicity 1)
O 0.132 0.094 0.280 (multiplicity 1)
O 0.169 0.351 0.882 (multiplicity 1)
O 0.240 0.464 0.552 (multiplicity 1)
O 0.243 0.107 0.958 (multiplicity 1)
O 0.330 0.430 0.204 (multiplicity 1)
O 0.332 0.772 0.607 (multiplicity 1)
O 0.338 0.048 0.535 (multiplicity 1)
O 0.437 0.716 0.868 (multiplicity 1)
O 0.578 0.799 0.232 (multiplicity 1)
O 0.663 0.109 0.277 (multiplicity 1)
O 0.717 0.393 0.922 (multiplicity 1)
O 0.719 0.095 0.913 (multiplicity 1)
O 0.776 0.456 0.578 (multiplicity 1)
O 0.786 0.055 0.541 (multiplicity 1)
O 0.824 0.777 0.629 (multiplicity 1)
O 0.864 0.387 0.207 (multiplicity 1)
O 0.947 0.719 0.886 (multiplicity 1)

Results
E (MP2020), eV per cell: -274.40
Volume, Å³ per atom: 10.9
Relative energy among the computed polymorphs, kcal/mol of atoms: 0.73


4.
Entry from the Materials Project database: an optimized crystal structure of LiMn2B2O6 (PBE with a Hubbard U).

abc: 5.299 10.384 13.981
angles: 90.28 100.47 91.70
Space group P1 (No. 1)
Symmetry-distinct sites (fractional):
Li 0.000 0.000 0.000 (multiplicity 1)
Li 0.003 0.512 0.989 (multiplicity 1)
Li 0.306 0.023 0.663 (multiplicity 1)
Li 0.609 0.339 0.652 (multiplicity 1)
Li 0.643 0.507 0.323 (multiplicity 1)
Li 0.675 0.018 0.330 (multiplicity 1)
Mn 0.037 0.815 0.534 (multiplicity 1)
Mn 0.105 0.050 0.208 (multiplicity 1)
Mn 0.180 0.557 0.435 (multiplicity 1)
Mn 0.188 0.298 0.774 (multiplicity 1)
Mn 0.407 0.795 0.229 (multiplicity 1)
Mn 0.427 0.044 0.876 (multiplicity 1)
Mn 0.502 0.306 0.443 (multiplicity 1)
Mn 0.562 0.549 0.119 (multiplicity 1)
Mn 0.726 0.788 0.887 (multiplicity 1)
Mn 0.751 0.065 0.563 (multiplicity 1)
Mn 0.849 0.293 0.095 (multiplicity 1)
Mn 0.879 0.546 0.773 (multiplicity 1)
B 0.075 0.304 0.551 (multiplicity 1)
B 0.081 0.546 0.215 (multiplicity 1)
B 0.169 0.810 0.768 (multiplicity 1)
B 0.194 0.061 0.433 (multiplicity 1)
B 0.409 0.306 0.213 (multiplicity 1)
B 0.424 0.544 0.894 (multiplicity 1)
B 0.524 0.821 0.454 (multiplicity 1)
B 0.534 0.044 0.103 (multiplicity 1)
B 0.736 0.553 0.544 (multiplicity 1)
B 0.740 0.305 0.873 (multiplicity 1)
B 0.852 0.051 0.781 (multiplicity 1)
B 0.861 0.806 0.116 (multiplicity 1)
O 0.024 0.865 0.198 (multiplicity 1)
O 0.035 0.058 0.347 (multiplicity 1)
O 0.107 0.092 0.782 (multiplicity 1)
O 0.123 0.008 0.518 (multiplicity 1)
O 0.145 0.353 0.468 (multiplicity 1)
O 0.181 0.232 0.189 (multiplicity 1)
O 0.193 0.846 0.678 (multiplicity 1)
O 0.252 0.284 0.633 (multiplicity 1)
O 0.253 0.497 0.812 (multiplicity 1)
O 0.301 0.754 0.465 (multiplicity 1)
O 0.340 0.586 0.221 (multiplicity 1)
O 0.342 0.859 0.851 (multiplicity 1)
O 0.354 0.554 0.982 (multiplicity 1)
O 0.362 0.042 0.019 (multiplicity 1)
O 0.446 0.117 0.445 (multiplicity 1)
O 0.469 0.009 0.193 (multiplicity 1)
O 0.503 0.362 0.134 (multiplicity 1)
O 0.515 0.230 0.864 (multiplicity 1)
O 0.536 0.325 0.305 (multiplicity 1)
O 0.578 0.494 0.459 (multiplicity 1)
O 0.585 0.845 0.366 (multiplicity 1)
O 0.655 0.731 0.139 (multiplicity 1)
O 0.669 0.063 0.701 (multiplicity 1)
O 0.674 0.583 0.883 (multiplicity 1)
O 0.688 0.866 0.539 (multiplicity 1)
O 0.701 0.522 0.634 (multiplicity 1)
O 0.791 0.086 0.104 (multiplicity 1)
O 0.792 0.001 0.868 (multiplicity 1)
O 0.798 0.357 0.785 (multiplicity 1)
O 0.814 0.268 0.550 (multiplicity 1)
O 0.899 0.331 0.958 (multiplicity 1)
O 0.904 0.823 0.026 (multiplicity 1)
O 0.929 0.633 0.521 (multiplicity 1)
O 0.938 0.508 0.124 (multiplicity 1)
O 0.969 0.729 0.789 (multiplicity 1)
O 0.973 0.548 0.295 (multiplicity 1)

Results
E (MP2020), eV per cell: -539.85
Volume, Å³ per atom: 11.5
Relative energy among the computed polymorphs, kcal/mol of atoms: 0.12